(1)
Compound: Ba3BiRu2O9
Source: Materials Project
Functional: PBE
Structure: optimized geometry

Cell: 6.0218 6.0218 14.8554 Å, 89.18 89.18 120.09°
Element x y z (fractional)
O1 0.2201 0.3954 0.4245
Ba1 0.3302 0.6614 0.5957
O2 0.6046 0.7799 0.0755
Ru1 0.6539 0.3220 0.6659
O3 0.6715 0.8645 0.3998
Ru2 0.3220 0.6539 0.1659
Ba2 0.6614 0.3302 0.0957
O4 0.9738 0.4978 0.7399
O5 0.7799 0.6046 0.5755
Ru3 0.6780 0.3461 0.8341
O6 0.3285 0.1355 0.6002
O7 0.8535 0.1985 0.9039
Ba3 0.9974 0.0026 0.7500
Ba4 0.0026 0.9974 0.2500
Bi1 0.0000 0.0000 0.5000
O8 0.1985 0.8535 0.4039
Ba5 0.3386 0.6698 0.9043
O9 0.1465 0.8015 0.0961
O10 0.5022 0.0262 0.7601
O11 0.0262 0.5022 0.2601
Bi2 0.0000 0.0000 0.0000
O12 0.3954 0.2201 0.9245
Ru4 0.3461 0.6780 0.3341
Ba6 0.6698 0.3386 0.4043
O13 0.4911 0.5089 0.2500
O14 0.1355 0.3285 0.1002
O15 0.8015 0.1465 0.5961
O16 0.5089 0.4911 0.7500
O17 0.4978 0.9738 0.2399
O18 0.8645 0.6715 0.8998

magnetization = 6.02 Bohr magnetons per cell
space-group type = C2/c

---

(2)
Compound: Ba4ScTi4BiO15
Source: Materials Project
Functional: PBE
Structure: optimized geometry

Cell: 14.5301 14.5301 4.0401 Å, 90.00 90.00 157.21°
Element x y z (fractional)
O1 0.7000 0.3000 0.0000
Ti1 0.0998 0.9002 0.5000
O2 0.4024 0.1021 0.5000
O3 0.1021 0.4024 0.5000
O4 0.5976 0.8979 0.5000
O5 0.0000 0.5000 0.5000
Ti2 0.9002 0.0998 0.5000
Sc1 0.5000 0.5000 0.5000
Ti3 0.7000 0.3000 0.5000
O6 0.2794 0.1794 0.5000
Ba1 0.3998 0.6002 0.0000
O7 0.0983 0.9017 0.0000
Ba2 0.2002 0.7998 0.0000
O8 0.5000 0.5000 0.0000
Bi1 0.0000 0.0000 0.0000
Ba3 0.7998 0.2002 0.0000
O9 0.9017 0.0983 0.0000
Ba4 0.6002 0.3998 0.0000
O10 0.7206 0.8206 0.5000
O11 0.8979 0.5976 0.5000
O12 0.3000 0.7000 0.0000
O13 0.5000 0.0000 0.5000
O14 0.8206 0.7206 0.5000
Ti4 0.3000 0.7000 0.5000
O15 0.1794 0.2794 0.5000

magnetization = 0.00 Bohr magnetons per cell
space-group type = Cmmm

---

(3)
Compound: Ba2TaBiO6
Source: Materials Project
Functional: PBE
Structure: optimized geometry

Cell: 6.1053 6.1053 6.1669 Å, 59.99 59.99 60.02°
Element x y z (fractional)
O1 0.2348 0.6994 0.8053
Ba1 0.7509 0.7509 0.2449
O2 0.7291 0.7291 0.7106
Ba2 0.2491 0.2491 0.7551
O3 0.3006 0.7652 0.1947
O4 0.6994 0.2348 0.8053
Bi1 0.0000 0.0000 0.5000
Ta1 0.5000 0.5000 0.0000
O5 0.7652 0.3006 0.1947
O6 0.2709 0.2709 0.2894

magnetization = 0.00 Bohr magnetons per cell
energy relative to the lowest polymorph listed for this composition = 0 meV/atom
space-group type = C2/m

---

(4)
Compound: BaTa2Bi2O9
Source: Materials Project
Functional: PBE
Structure: optimized geometry

Cell: 12.9398 12.9398 12.9398 Å, 162.36 162.36 25.05°
Element x y z (fractional)
O1 0.5000 0.5000 0.0000
Ba1 0.0000 0.0000 0.0000
O2 0.5808 0.0808 0.5000
O3 0.6628 0.6628 0.0000
O4 0.7500 0.2500 0.5000
O5 0.3372 0.3372 0.0000
Bi1 0.7987 0.7987 0.0000
O6 0.9192 0.4192 0.5000
O7 0.4192 0.9192 0.5000
O8 0.2500 0.7500 0.5000
Ta1 0.4120 0.4120 0.0000
Bi2 0.2013 0.2013 0.0000
O9 0.0808 0.5808 0.5000
Ta2 0.5880 0.5880 0.0000

magnetization = 0.00 Bohr magnetons per cell
space-group type = I4/mmm

---

(5)
Compound: Ba2TaBiO6
Source: Materials Project
Functional: PBE
Structure: optimized geometry

Cell: 6.1426 6.1426 6.1426 Å, 60.00 60.00 60.00°
Element x y z (fractional)
O1 0.7308 0.2692 0.2692
Bi1 0.0000 0.0000 0.0000
Ta1 0.5000 0.5000 0.5000
O2 0.7308 0.2692 0.7308
O3 0.2692 0.2692 0.7308
O4 0.2692 0.7308 0.7308
Ba1 0.2500 0.2500 0.2500
Ba2 0.7500 0.7500 0.7500
O5 0.7308 0.7308 0.2692
O6 0.2692 0.7308 0.2692

magnetization = 0.00 Bohr magnetons per cell
energy relative to the lowest polymorph listed for this composition = 14 meV/atom
space-group type = Fm-3m

---

(6)
Compound: Ba2TaBiO6
Source: Materials Project
Functional: PBE
Structure: optimized geometry

Cell: 6.0973 6.0973 6.0973 Å, 60.59 60.59 60.59°
Element x y z (fractional)
O1 0.2745 0.7811 0.6780
Ba1 0.2512 0.2512 0.2512
Ba2 0.7488 0.7488 0.7488
O2 0.2189 0.3220 0.7255
Bi1 0.0000 0.0000 0.0000
Ta1 0.5000 0.5000 0.5000
O3 0.6780 0.2745 0.7811
O4 0.7811 0.6780 0.2745
O5 0.3220 0.7255 0.2189
O6 0.7255 0.2189 0.3220

magnetization = 0.00 Bohr magnetons per cell
energy relative to the lowest polymorph listed for this composition = 0 meV/atom
space-group type = R-3

---

(7)
Compound: Ba2TlBi2O7
Source: Materials Project
Functional: PBE
Structure: optimized geometry

Cell: 3.9389 3.9389 15.6556 Å, 90.00 90.00 90.00°
Element x y z (fractional)
Ba1 0.5000 0.5000 0.3211
Tl1 0.0000 0.0000 0.5000
O1 0.0000 0.0000 0.6298
O2 0.5000 0.0000 0.8062
Bi1 0.0000 0.0000 0.1323
O3 0.0000 0.5000 0.8062
O4 0.5000 0.5000 0.5000
O5 0.0000 0.5000 0.1938
Ba2 0.5000 0.5000 0.6789
O6 0.5000 0.0000 0.1938
Bi2 0.0000 0.0000 0.8677
O7 0.0000 0.0000 0.3702

magnetization = 0.73 Bohr magnetons per cell
space-group type = P4/mmm

---

(8)
Compound: BaTlBi2O6
Source: Materials Project
Functional: PBE
Structure: optimized geometry

Cell: 4.0069 4.0093 23.9686 Å, 94.79 94.78 89.91°
Element x y z (fractional)
O1 0.8734 0.3735 0.7470
O2 0.6840 0.6837 0.3679
Tl1 0.7263 0.7266 0.4523
O3 0.2307 0.2300 0.4613
Tl2 0.2740 0.2741 0.5476
O4 0.5471 0.0470 0.0947
O5 0.3160 0.3161 0.6318
O6 0.0474 0.5475 0.0954
Ba1 0.1649 0.1650 0.3303
O7 0.1264 0.6265 0.2528
Ba2 0.8351 0.8351 0.6698
Bi1 0.5333 0.5333 0.0671
O8 0.7690 0.7689 0.5383
O9 0.9531 0.4530 0.9055
Bi2 0.4669 0.4669 0.9333
O10 0.4529 0.9529 0.9052
Bi3 0.6062 0.6062 0.2120
Bi4 0.3937 0.3938 0.7878
O11 0.6263 0.1265 0.2527
O12 0.3735 0.8735 0.7470

magnetization = 0.00 Bohr magnetons per cell
space-group type = C2

---

(9)
Compound: Ba2YBi3O8
Source: Materials Project
Functional: PBE
Structure: optimized geometry

Cell: 4.4015 4.4015 13.6177 Å, 90.00 90.00 90.00°
Element x y z (fractional)
Ba1 0.5000 0.5000 0.8552
O1 0.0000 0.5000 0.4009
Bi1 0.0000 0.0000 0.0000
O2 0.0000 0.0000 0.8204
O3 0.0000 0.5000 0.0000
Ba2 0.5000 0.5000 0.1448
O4 0.5000 0.0000 0.0000
Y1 0.5000 0.5000 0.5000
O5 0.5000 0.0000 0.4009
O6 0.5000 0.0000 0.5991
Bi2 0.0000 0.0000 0.3459
O7 0.0000 0.0000 0.1796
O8 0.0000 0.5000 0.5991
Bi3 0.0000 0.0000 0.6541

magnetization = 0.00 Bohr magnetons per cell
space-group type = P4/mmm

---

(10)
Compound: Ba3BiP
Source: Materials Project
Functional: PBE
Structure: optimized geometry

Cell: 6.1425 6.1425 6.1425 Å, 90.00 90.00 90.00°
Element x y z (fractional)
Ba1 0.0000 0.5000 0.5000
P1 0.5000 0.5000 0.5000
Ba2 0.5000 0.0000 0.5000
Bi1 0.0000 0.0000 0.0000
Ba3 0.5000 0.5000 0.0000

magnetization = 0.00 Bohr magnetons per cell
energy relative to the lowest polymorph listed for this composition = 0 meV/atom
space-group type = Pm-3m

---

(11)
Compound: Ba3BiP
Source: Materials Project
Functional: PBE
Structure: optimized geometry

Cell: 6.5630 6.5630 6.5630 Å, 90.00 90.00 90.00°
Element x y z (fractional)
Ba1 0.5000 0.0000 0.5000
P1 0.0000 0.0000 0.0000
Ba2 0.0000 0.5000 0.5000
Bi1 0.5000 0.5000 0.5000
Ba3 0.5000 0.5000 0.0000

energy relative to the lowest polymorph listed for this composition = 694 meV/atom
space-group type = Pm-3m

---

(12)
Compound: BaBiSe3
Source: Materials Project
Functional: PBE
Structure: optimized geometry

Cell: 4.4028 16.6039 17.1785 Å, 90.00 90.00 90.00°
Element x y z (fractional)
Bi1 0.7424 0.6312 0.9697
Ba1 0.2455 0.4601 0.1677
Se1 0.7337 0.1022 0.6343
Se2 0.1765 0.2120 0.8192
Se3 0.7887 0.8168 0.9053
Ba2 0.2281 0.6025 0.4070
Se4 0.1675 0.7385 0.5570
Se5 0.6675 0.7615 0.4430
Se6 0.2407 0.9759 0.4727
Se7 0.2593 0.0241 0.9727
Ba3 0.2719 0.3975 0.9070
Se8 0.7613 0.4336 0.7685
Se9 0.6765 0.2880 0.1808
Se10 0.2663 0.6022 0.8657
Bi2 0.7629 0.2806 0.7064
Bi3 0.2371 0.7806 0.7936
Se11 0.2387 0.9336 0.7315
Bi4 0.7371 0.7194 0.2064
Se12 0.7113 0.1832 0.4053
Se13 0.8235 0.7120 0.6808
Ba4 0.7455 0.0399 0.8323
Se14 0.3325 0.2615 0.0570
Bi5 0.7576 0.3688 0.4697
Ba5 0.7545 0.9601 0.3323
Bi6 0.2629 0.2194 0.2936
Se15 0.7407 0.5241 0.5273
Bi7 0.2576 0.1312 0.5303
Se16 0.3235 0.7880 0.3192
Se17 0.7593 0.4759 0.0273
Ba6 0.2545 0.5399 0.6677
Se18 0.2113 0.3168 0.5947
Se19 0.2887 0.6832 0.0947
Se20 0.7387 0.5664 0.2685
Ba7 0.7719 0.1025 0.0930
Se21 0.8325 0.2385 0.9430
Ba8 0.7281 0.8975 0.5930
Bi8 0.2424 0.8688 0.0303
Se22 0.7663 0.8978 0.1343
Se23 0.2337 0.3978 0.3657
Se24 0.2613 0.0664 0.2315

space-group type = P2_12_12_1

---

(13)
Compound: Ba6Bi13Se26
Source: Materials Project
Functional: PBE
Structure: optimized geometry

Cell: 4.3068 17.5284 18.8120 Å, 89.45 90.00 90.00°
Element x y z (fractional)
Se1 0.0000 0.1046 0.7224
Se2 0.5000 0.1967 0.5494
Se3 0.5000 0.1899 0.0570
Ba1 0.0000 0.4821 0.3441
Se4 0.0000 0.5735 0.5116
Se5 0.5000 0.0144 0.9079
Bi1 0.5000 0.9205 0.4322
Se6 0.5000 0.3934 0.2333
Bi2 0.0000 0.3262 0.5254
Bi3 0.0000 0.0109 0.2512
Se7 0.5000 0.6052 0.9656
Se8 0.5000 0.1298 0.2394
Bi4 0.0000 0.8307 0.6272
Se9 0.0000 0.2743 0.3602
Bi5 0.0000 0.5104 0.8825
Se10 0.0000 0.6065 0.7664
Ba2 0.0000 0.2653 0.1732
Se11 0.0000 0.2330 0.8766
Bi6 0.5000 0.1714 0.3861
Se12 0.5000 0.6272 0.3352
Se13 0.0000 0.0395 0.4056
Se14 0.0000 0.8681 0.7631
Bi7 0.0000 0.0789 0.5859
Se15 0.0000 0.3737 0.6650
Se16 0.5000 0.4213 0.8259
Se17 0.0000 0.9843 0.0941
Se18 0.0000 0.8057 0.4407
Se19 0.5000 0.9584 0.5836
Ba3 0.5000 0.2449 0.7319
Bi8 0.5000 0.9024 0.0220
Bi9 0.5000 0.4900 0.1165
Se20 0.0000 0.3956 0.0348
Bi10 0.5000 0.6747 0.4775
Bi11 0.0000 0.0987 0.9739
Bi12 0.5000 0.3099 0.9572
Ba4 0.0000 0.7477 0.2652
Se21 0.5000 0.7224 0.6348
Ba5 0.5000 0.5179 0.6568
Se22 0.5000 0.4269 0.4861
Bi13 0.0000 0.6898 0.0441
Ba6 0.5000 0.7404 0.8210
Se23 0.0000 0.5780 0.1736
Se24 0.5000 0.8988 0.2753
Se25 0.0000 0.8137 0.9453
Se26 0.5000 0.7641 0.1249

magnetization = 0.25 Bohr magnetons per cell
space-group type = Pm

---

(14)
Compound: Ba5Sn9Bi6
Source: Materials Project
Functional: PBE
Structure: optimized geometry

Cell: 7.4488 7.4488 28.0108 Å, 90.00 90.00 120.00°
Element x y z (fractional)
Ba1 0.0000 0.0000 0.8418
Ba2 0.3333 0.6667 0.9431
Ba3 0.6667 0.3333 0.0569
Ba4 0.0000 0.0000 0.3418
Sn1 0.9437 0.4718 0.8500
Sn2 0.8044 0.6087 0.7500
Sn3 0.9437 0.4718 0.6500
Bi1 0.6685 0.8342 0.4490
Bi2 0.1658 0.3315 0.4490
Sn4 0.0563 0.5282 0.3500
Sn5 0.1956 0.8044 0.2500
Bi3 0.3315 0.1658 0.9490
Ba5 0.3333 0.6667 0.5569
Sn6 0.3913 0.1956 0.7500
Bi4 0.3315 0.1658 0.5510
Sn7 0.8044 0.1956 0.7500
Sn8 0.6087 0.8044 0.2500
Sn9 0.4718 0.9437 0.1500
Bi5 0.8342 0.1658 0.9490
Sn10 0.4718 0.9437 0.3500
Ba6 0.0000 0.0000 0.1582
Sn11 0.5282 0.4718 0.8500
Ba7 0.6667 0.3333 0.4431
Sn12 0.1956 0.3913 0.2500
Ba8 0.6667 0.3333 0.2500
Ba9 0.3333 0.6667 0.7500
Bi6 0.8342 0.6685 0.5510
Sn13 0.0563 0.5282 0.1500
Bi7 0.8342 0.1658 0.5510
Bi8 0.8342 0.6685 0.9490
Sn14 0.5282 0.0563 0.6500
Sn15 0.5282 0.0563 0.8500
Ba10 0.0000 0.0000 0.6582
Sn16 0.4718 0.5282 0.3500
Sn17 0.5282 0.4718 0.6500
Sn18 0.4718 0.5282 0.1500
Bi9 0.1658 0.3315 0.0510
Bi10 0.1658 0.8342 0.0510
Bi11 0.1658 0.8342 0.4490
Bi12 0.6685 0.8342 0.0510

magnetization = 0.20 Bohr magnetons per cell
space-group type = P6_3/mmc

---

(15)
Compound: Ba3Sn4Bi
Source: Materials Project
Functional: PBE
Structure: optimized geometry

Cell: 9.3661 9.3661 9.4415 Å, 119.74 119.74 90.00°
Element x y z (fractional)
Sn1 0.5535 0.3309 0.3844
Sn2 0.9465 0.4465 0.6156
Sn3 0.0535 0.5535 0.3844
Sn4 0.6691 0.1691 0.6156
Bi1 0.0000 0.0000 0.0000
Sn5 0.8309 0.0535 0.3844
Sn6 0.1691 0.9465 0.6156
Ba1 0.6643 0.1643 0.0000
Ba2 0.3357 0.8357 0.0000
Bi2 0.5000 0.5000 0.0000
Ba3 0.7500 0.7500 0.5000
Ba4 0.1643 0.3357 0.0000
Sn7 0.4465 0.6691 0.6156
Ba5 0.8357 0.6643 0.0000
Sn8 0.3309 0.8309 0.3844
Ba6 0.2500 0.2500 0.5000

magnetization = 0.01 Bohr magnetons per cell
space-group type = I4/mcm

---

Asked for formation enthalpy at 0 K across the records above, the calculation gives -2.201; -3.291; -2.952; -2.784; -2.937; -2.951; -1.861; -1.546; -2.265; -0.846; -0.151; -1.317; -1.094; -0.474; -0.645 eV per atom in order.